# 1
The following is a GGA-PBE calculation of a relaxed La2SiGe2S5O24 crystal, from Materials Project.

Lattice parameters (Å, degrees): 9.009 9.017 23.313 90.08 90.45 119.67
Space group P1 (No. 1)
Symmetry-distinct sites (fractional):
La1 0.000 0.000 0.000 (multiplicity 1)
La2 0.001 0.988 0.506 (multiplicity 1)
La3 0.339 0.664 0.935 (multiplicity 1)
La4 0.665 0.338 0.809 (multiplicity 1)
La5 0.669 0.319 0.319 (multiplicity 1)
La6 0.673 0.321 0.128 (multiplicity 1)
Si1 0.059 0.637 0.557 (multiplicity 1)
Si2 0.663 0.650 0.715 (multiplicity 1)
Si3 0.668 0.003 0.220 (multiplicity 1)
Ge1 0.319 0.664 0.453 (multiplicity 1)
Ge2 0.340 0.676 0.655 (multiplicity 1)
Ge3 0.344 0.670 0.159 (multiplicity 1)
Ge4 0.700 0.404 0.613 (multiplicity 1)
Ge5 0.995 0.993 0.283 (multiplicity 1)
Ge6 0.995 0.993 0.772 (multiplicity 1)
S1 0.001 0.662 0.220 (multiplicity 1)
S2 0.004 0.730 0.875 (multiplicity 1)
S3 0.038 0.307 0.388 (multiplicity 1)
S4 0.068 0.399 0.060 (multiplicity 1)
S5 0.269 0.264 0.875 (multiplicity 1)
S6 0.278 0.968 0.387 (multiplicity 1)
S7 0.335 0.936 0.059 (multiplicity 1)
S8 0.337 0.330 0.220 (multiplicity 1)
S9 0.349 0.017 0.713 (multiplicity 1)
S10 0.370 0.408 0.556 (multiplicity 1)
S11 0.588 0.951 0.554 (multiplicity 1)
S12 0.611 0.661 0.060 (multiplicity 1)
S13 0.696 0.720 0.386 (multiplicity 1)
S14 0.731 0.999 0.874 (multiplicity 1)
S15 0.984 0.331 0.713 (multiplicity 1)
O1 0.009 0.200 0.438 (multiplicity 1)
O2 0.014 0.831 0.823 (multiplicity 1)
O3 0.030 0.840 0.232 (multiplicity 1)
O4 0.036 0.801 0.553 (multiplicity 1)
O5 0.055 0.230 0.062 (multiplicity 1)
O6 0.063 0.228 0.334 (multiplicity 1)
O7 0.137 0.601 0.497 (multiplicity 1)
O8 0.150 0.486 0.007 (multiplicity 1)
O9 0.160 0.474 0.703 (multiplicity 1)
O10 0.162 0.718 0.875 (multiplicity 1)
O11 0.166 0.174 0.822 (multiplicity 1)
O12 0.167 0.175 0.233 (multiplicity 1)
O13 0.169 0.492 0.113 (multiplicity 1)
O14 0.171 0.993 0.723 (multiplicity 1)
O15 0.172 0.655 0.613 (multiplicity 1)
O16 0.172 0.680 0.208 (multiplicity 1)
O17 0.173 0.939 0.332 (multiplicity 1)
O18 0.177 0.947 0.060 (multiplicity 1)
O19 0.187 0.177 0.929 (multiplicity 1)
O20 0.198 0.997 0.436 (multiplicity 1)
O21 0.205 0.478 0.395 (multiplicity 1)
O22 0.222 0.238 0.550 (multiplicity 1)
O23 0.284 0.435 0.874 (multiplicity 1)
O24 0.289 0.806 0.395 (multiplicity 1)
O25 0.305 0.475 0.208 (multiplicity 1)
O26 0.327 0.834 0.111 (multiplicity 1)
O27 0.327 0.842 0.704 (multiplicity 1)
O28 0.345 0.856 0.005 (multiplicity 1)
O29 0.348 0.489 0.607 (multiplicity 1)
O30 0.404 0.511 0.502 (multiplicity 1)
O31 0.406 0.291 0.168 (multiplicity 1)
O32 0.426 0.132 0.665 (multiplicity 1)
O33 0.437 0.275 0.873 (multiplicity 1)
O34 0.451 0.079 0.767 (multiplicity 1)
O35 0.451 0.113 0.380 (multiplicity 1)
O36 0.456 0.374 0.269 (multiplicity 1)
O37 0.479 0.868 0.500 (multiplicity 1)
O38 0.486 0.107 0.063 (multiplicity 1)
O39 0.501 0.675 0.698 (multiplicity 1)
O40 0.503 0.811 0.206 (multiplicity 1)
O41 0.514 0.668 0.111 (multiplicity 1)
O42 0.516 0.840 0.606 (multiplicity 1)
O43 0.522 0.653 0.006 (multiplicity 1)
O44 0.525 0.711 0.393 (multiplicity 1)
O45 0.528 0.386 0.562 (multiplicity 1)
O46 0.562 0.842 0.874 (multiplicity 1)
O47 0.600 0.116 0.561 (multiplicity 1)
O48 0.610 0.524 0.769 (multiplicity 1)
O49 0.622 0.093 0.271 (multiplicity 1)
O50 0.631 0.511 0.064 (multiplicity 1)
O51 0.672 0.548 0.375 (multiplicity 1)
O52 0.713 0.151 0.871 (multiplicity 1)
O53 0.720 0.126 0.164 (multiplicity 1)
O54 0.721 0.560 0.661 (multiplicity 1)
O55 0.756 0.964 0.547 (multiplicity 1)
O56 0.777 0.820 0.062 (multiplicity 1)
O57 0.778 0.829 0.333 (multiplicity 1)
O58 0.806 0.797 0.436 (multiplicity 1)
O59 0.820 0.008 0.929 (multiplicity 1)
O60 0.822 0.987 0.823 (multiplicity 1)
O61 0.837 0.835 0.726 (multiplicity 1)
O62 0.840 0.987 0.236 (multiplicity 1)
O63 0.853 0.560 0.873 (multiplicity 1)
O64 0.863 0.465 0.564 (multiplicity 1)
O65 0.864 0.295 0.664 (multiplicity 1)
O66 0.890 0.598 0.168 (multiplicity 1)
O67 0.896 0.342 0.379 (multiplicity 1)
O68 0.899 0.386 0.063 (multiplicity 1)
O69 0.919 0.368 0.766 (multiplicity 1)
O70 0.924 0.548 0.269 (multiplicity 1)
O71 0.996 0.811 0.929 (multiplicity 1)
O72 0.999 0.171 0.722 (multiplicity 1)

total magnetization	0.0	μB per cell
ΔH_f (0 K)	-2.259	eV/atom
MP2020-corrected energy	-7.082	eV per atom

# 2
The following is a GGA-PBE calculation of a relaxed La3Zn3Ge2SbO14 crystal, from Materials Project.

Lattice parameters (Å, degrees): 8.4030 8.4030 5.2865 90.00 90.00 120.00
Space group P321 (No. 150)
Symmetry-distinct sites (fractional):
La1 0.0000 0.4199 0.0000 (multiplicity 3)
Zn1 0.0000 0.7606 0.5000 (multiplicity 3)
Ge1 0.3333 0.6667 0.5516 (multiplicity 2)
Sb1 0.0000 0.0000 0.0000 (multiplicity 1)
O1 0.0813 0.2230 0.2204 (multiplicity 6)
O2 0.1456 0.6738 0.7042 (multiplicity 6)
O3 0.3333 0.6667 0.2178 (multiplicity 2)

total magnetization	0.0	μB per cell
ΔH_f (0 K)	-2.654	eV/atom
MP2020-corrected energy	-7.055	eV per atom

Q: Which formula does entry 1 have?
A: La2SiGe2S5O24